Entry 1:
Entry from the Materials Project: an optimized crystal structure of Ti3O5 (GGA-PBE).

Calculated values
As for the space group: No. 1. As for the MP2020-corrected energy: -9.223 eV per atom. The formation energy is -3.17 eV per atom. The theoretical density comes out at 3.61 g/cm³. For the size of the total moment, the calculation gives 0.308 μB/f.u. The calculation puts the relative energy among the computed polymorphs at 210.5 meV/atom. The calculation puts the electronic total energy at -8.793 eV/atom.

Lattice parameters (Å, degrees): 10.884 10.696 11.487 91.21 87.58 89.67
Positions (direct):
Ti (0.560, 0.403, 0.322)
Ti (0.346, 0.577, 0.443)
Ti (0.753, 0.888, 0.075)
Ti (0.673, 0.362, 0.824)
Ti (0.020, 0.607, 0.143)
Ti (0.210, 0.938, 0.791)
Ti (0.523, 0.384, 0.040)
Ti (0.742, 0.237, 0.053)
Ti (0.665, 0.913, 0.752)
Ti (0.184, 0.330, 0.782)
Ti (0.888, 0.558, 0.405)
Ti (0.986, 0.158, 0.725)
Ti (0.394, 0.724, 0.661)
Ti (0.880, 0.998, 0.900)
Ti (0.925, 0.869, 0.341)
Ti (0.900, 0.503, 0.690)
Ti (0.428, 0.997, 0.424)
Ti (0.419, 0.440, 0.778)
Ti (0.715, 0.390, 0.516)
Ti (0.152, 0.770, 0.461)
Ti (0.895, 0.967, 0.592)
Ti (0.557, 0.725, 0.269)
Ti (0.056, 0.874, 0.118)
Ti (0.254, 0.261, 0.533)
Ti (0.731, 0.090, 0.320)
Ti (0.975, 0.715, 0.879)
Ti (0.051, 0.194, 0.051)
Ti (0.949, 0.401, 0.917)
Ti (0.367, 0.074, 0.950)
Ti (0.663, 0.710, 0.544)
Ti (0.134, 0.365, 0.331)
Ti (0.438, 0.160, 0.700)
Ti (0.321, 0.860, 0.081)
Ti (0.285, 0.611, 0.177)
Ti (0.175, 0.002, 0.337)
Ti (0.470, 0.137, 0.189)
Ti (0.971, 0.129, 0.419)
Ti (0.812, 0.356, 0.251)
Ti (0.259, 0.315, 0.049)
O (0.910, 0.156, 0.576)
O (0.305, 0.901, 0.922)
O (0.036, 0.942, 0.470)
O (0.113, 0.335, 0.953)
O (0.651, 0.767, 0.140)
O (0.584, 0.060, 0.403)
O (0.560, 0.782, 0.690)
O (0.262, 0.909, 0.446)
O (0.378, 0.128, 0.547)
O (0.266, 0.415, 0.439)
O (0.248, 0.670, 0.564)
O (0.772, 0.062, 0.021)
O (0.907, 0.302, 0.097)
O (0.313, 0.879, 0.678)
O (0.703, 0.880, 0.899)
O (0.952, 0.755, 0.208)
O (0.453, 0.286, 0.287)
O (0.559, 0.431, 0.490)
O (0.252, 0.675, 0.342)
O (0.146, 0.272, 0.184)
O (0.931, 0.200, 0.883)
O (0.325, 0.354, 0.659)
O (0.692, 0.711, 0.386)
O (0.483, 0.656, 0.528)
O (0.539, 0.036, 0.748)
O (0.893, 0.192, 0.292)
O (0.885, 0.660, 0.755)
O (0.017, 0.018, 0.021)
O (0.444, 0.990, 0.084)
O (0.994, 0.418, 0.421)
O (0.654, 0.386, 0.162)
O (0.613, 0.247, 0.940)
O (0.133, 0.511, 0.227)
O (0.112, 0.788, 0.832)
O (0.421, 0.232, 0.058)
O (0.222, 0.134, 0.011)
O (0.778, 0.393, 0.949)
O (0.042, 0.995, 0.738)
O (0.359, 0.468, 0.100)
O (0.706, 0.281, 0.379)
O (0.763, 0.843, 0.608)
O (0.902, 0.826, 0.996)
O (0.372, 0.605, 0.768)
O (0.173, 0.719, 0.094)
O (0.484, 0.843, 0.360)
O (0.985, 0.567, 0.984)
O (0.043, 0.441, 0.759)
O (0.808, 0.032, 0.747)
O (0.475, 0.563, 0.305)
O (0.886, 0.522, 0.240)
O (0.411, 0.735, 0.156)
O (0.802, 0.949, 0.227)
O (0.984, 0.714, 0.434)
O (0.292, 0.116, 0.788)
O (0.142, 0.182, 0.404)
O (0.553, 0.476, 0.892)
O (0.777, 0.372, 0.677)
O (0.126, 0.230, 0.645)
O (0.826, 0.001, 0.435)
O (0.327, 0.361, 0.889)
O (0.540, 0.303, 0.723)
O (0.639, 0.136, 0.183)
O (0.203, 0.948, 0.179)
O (0.774, 0.569, 0.556)
O (0.355, 0.067, 0.301)



Entry 2:
Entry from the Materials Project: an optimized crystal structure of Ti3O5 (GGA-PBE).

Calculated values
As for the space group: No. 12. As for the MP2020-corrected energy: -9.426 eV per atom. The formation energy is -3.37 eV per atom. The theoretical density comes out at 3.96 g/cm³. The calculation puts the relative energy among the computed polymorphs at 7.0 meV/atom. The calculation puts the electronic total energy at -8.997 eV/atom.

Lattice parameters (Å, degrees): 5.289 5.289 10.021 88.90 88.90 42.05
Positions (direct):
Ti (0.804, 0.804, 0.757)
Ti (0.129, 0.129, 0.950)
Ti (0.196, 0.196, 0.243)
Ti (0.871, 0.871, 0.050)
Ti (0.866, 0.866, 0.435)
Ti (0.134, 0.134, 0.565)
O (0.051, 0.051, 0.385)
O (0.321, 0.321, 0.064)
O (0.955, 0.955, 0.868)
O (0.045, 0.045, 0.132)
O (0.679, 0.679, 0.936)
O (0.238, 0.238, 0.750)
O (0.688, 0.688, 0.574)
O (0.762, 0.762, 0.250)
O (0.949, 0.949, 0.615)
O (0.312, 0.312, 0.426)



Entry 3:
Entry from the Materials Project: an optimized crystal structure of Ti3O (GGA-PBE).

Calculated values
As for the space group: No. 163. As for the MP2020-corrected energy: -8.729 eV per atom. The formation energy is -1.57 eV per atom. The theoretical density comes out at 4.84 g/cm³. The calculation puts the electronic total energy at -8.557 eV/atom.

Lattice parameters (Å, degrees): 5.158 5.158 9.507 90.00 90.00 120.00
Positions (direct):
Ti (0.672, 0.006, 0.383)
Ti (0.334, 0.328, 0.383)
Ti (0.666, 0.994, 0.883)
Ti (0.006, 0.672, 0.883)
Ti (0.328, 0.334, 0.883)
Ti (0.006, 0.334, 0.617)
Ti (0.328, 0.994, 0.617)
Ti (0.666, 0.672, 0.617)
Ti (0.994, 0.666, 0.383)
Ti (0.672, 0.666, 0.117)
Ti (0.994, 0.328, 0.117)
Ti (0.334, 0.006, 0.117)
O (0.333, 0.667, 0.750)
O (0.667, 0.333, 0.250)
O (0.000, 0.000, 0.750)
O (0.000, 0.000, 0.250)



Entry 4:
Entry from the Materials Project: an optimized crystal structure of TiO2 (GGA-PBE).

Calculated values
As for the space group: No. 141. As for the MP2020-corrected energy: -9.426 eV per atom. The formation energy is -3.50 eV per atom. The theoretical density comes out at 3.76 g/cm³. The calculation puts the electronic total energy at -8.968 eV/atom.

Lattice parameters (Å, degrees): 5.566 5.566 5.566 140.05 140.05 57.77
Positions (direct):
Ti (0.750, 0.250, 0.500)
Ti (0.000, 0.000, 0.000)
O (0.956, 0.456, 0.500)
O (0.794, 0.794, 0.000)
O (0.544, 0.044, 0.500)
O (0.206, 0.206, 0.000)



Entry 5:
Entry from the Materials Project: an optimized crystal structure of Ti2O3 (GGA-PBE).

Calculated values
As for the space group: No. 15. As for the MP2020-corrected energy: -9.052 eV per atom. The formation energy is -2.93 eV per atom. The theoretical density comes out at 3.52 g/cm³. For the size of the total moment, the calculation gives 0.000 μB/f.u. The calculation puts the electronic total energy at -8.640 eV/atom.

Lattice parameters (Å, degrees): 14.087 7.379 7.655 145.94 156.95 25.80
Positions (direct):
Ti (0.312, 0.222, 0.036)
Ti (0.688, 0.778, 0.964)
Ti (0.275, 0.722, 0.964)
Ti (0.725, 0.278, 0.036)
O (0.405, 0.855, 0.084)
O (0.926, 0.250, 0.852)
O (0.679, 0.645, 0.084)
O (0.595, 0.145, 0.916)
O (0.074, 0.750, 0.148)
O (0.321, 0.355, 0.916)



Entry 6:
Entry from the Materials Project: an optimized crystal structure of Ti5O9 (GGA-PBE).

Calculated values
As for the space group: No. 2. As for the MP2020-corrected energy: -9.426 eV per atom. The formation energy is -3.43 eV per atom. The theoretical density comes out at 4.21 g/cm³. The calculation puts the electronic total energy at -8.984 eV/atom.

Lattice parameters (Å, degrees): 5.620 7.183 8.556 69.49 75.19 71.31
Positions (direct):
Ti (0.722, 0.326, 0.425)
Ti (0.278, 0.674, 0.575)
Ti (0.719, 0.829, 0.422)
Ti (0.281, 0.171, 0.578)
Ti (0.347, 0.657, 0.205)
Ti (0.653, 0.343, 0.795)
Ti (0.345, 0.159, 0.205)
Ti (0.655, 0.841, 0.795)
Ti (0.000, 0.000, 0.000)
Ti (0.000, 0.500, 0.000)
O (0.313, 0.467, 0.459)
O (0.687, 0.533, 0.541)
O (0.069, 0.196, 0.421)
O (0.931, 0.804, 0.579)
O (0.585, 0.132, 0.367)
O (0.415, 0.868, 0.633)
O (0.410, 0.849, 0.323)
O (0.590, 0.151, 0.677)
O (0.979, 0.809, 0.239)
O (0.021, 0.191, 0.761)
O (0.374, 0.851, 0.978)
O (0.626, 0.149, 0.022)
O (0.917, 0.804, 0.919)
O (0.083, 0.196, 0.081)
O (0.740, 0.539, 0.862)
O (0.260, 0.461, 0.138)
O (0.284, 0.489, 0.797)
O (0.716, 0.511, 0.203)



Entry 7:
Entry from the Materials Project: an optimized crystal structure of Ti3O5 (GGA-PBE).

Calculated values
As for the space group: No. 15. As for the MP2020-corrected energy: -9.420 eV per atom. The formation energy is -3.37 eV per atom. The theoretical density comes out at 4.28 g/cm³. The calculation puts the relative energy among the computed polymorphs at 12.8 meV/atom. The calculation puts the electronic total energy at -8.991 eV/atom.

Lattice parameters (Å, degrees): 5.694 5.694 7.254 70.27 70.27 52.84
Positions (direct):
Ti (0.860, 0.885, 0.218)
Ti (0.885, 0.860, 0.718)
Ti (0.115, 0.140, 0.282)
Ti (0.140, 0.115, 0.782)
Ti (0.500, 0.500, 0.500)
Ti (0.500, 0.500, 0.000)
O (0.148, 0.472, 0.154)
O (0.312, 0.688, 0.750)
O (0.924, 0.239, 0.559)
O (0.239, 0.924, 0.059)
O (0.852, 0.528, 0.846)
O (0.076, 0.761, 0.441)
O (0.688, 0.312, 0.250)
O (0.528, 0.852, 0.346)
O (0.761, 0.076, 0.941)
O (0.472, 0.148, 0.654)



Entry 8:
Entry from the Materials Project: an optimized crystal structure of TiO2 (GGA-PBE).

Calculated values
As for the space group: No. 25. As for the MP2020-corrected energy: -9.130 eV per atom. The formation energy is -3.20 eV per atom. The theoretical density comes out at 1.40 g/cm³. For the size of the total moment, the calculation gives 0.000 μB/f.u. The calculation puts the electronic total energy at -8.672 eV/atom.

Lattice parameters (Å, degrees): 3.133 5.745 10.517 90.00 90.00 90.00
Positions (direct):
Ti (0.000, 0.500, 0.002)
Ti (0.500, 0.000, 0.940)
O (0.500, 0.731, 0.038)
O (0.000, 0.000, 0.853)
O (0.000, 0.500, 0.847)
O (0.500, 0.269, 0.038)



Entry 9:
Entry from the Materials Project: an optimized crystal structure of TiO (GGA-PBE).

Calculated values
As for the space group: No. 194. As for the MP2020-corrected energy: -9.197 eV per atom. The formation energy is -2.78 eV per atom. The theoretical density comes out at 5.41 g/cm³. For the size of the total moment, the calculation gives 0.007 μB/f.u. The calculation puts the electronic total energy at -8.854 eV/atom.

Lattice parameters (Å, degrees): 2.852 2.852 5.568 90.00 90.00 120.00
Positions (direct):
Ti (0.667, 0.333, 0.750)
Ti (0.333, 0.667, 0.250)
O (0.000, 0.000, 0.500)
O (0.000, 0.000, 0.000)



Entry 10:
Entry from the Materials Project: an optimized crystal structure of TiO2 (GGA-PBE).

Calculated values
As for the space group: No. 1. As for the MP2020-corrected energy: -9.272 eV per atom. The formation energy is -3.34 eV per atom. The theoretical density comes out at 3.36 g/cm³. For the size of the total moment, the calculation gives 0.000 μB/f.u. The calculation puts the electronic total energy at -8.814 eV/atom.

Lattice parameters (Å, degrees): 10.591 10.785 10.486 89.97 83.83 83.36
Positions (direct):
Ti (0.180, 0.348, 0.385)
Ti (0.856, 0.101, 0.527)
Ti (0.523, 0.807, 0.643)
Ti (0.753, 0.791, 0.199)
Ti (0.296, 0.440, 0.073)
Ti (0.422, 0.163, 0.205)
Ti (0.995, 0.560, 0.263)
Ti (0.558, 0.521, 0.081)
Ti (0.638, 0.545, 0.762)
Ti (0.485, 0.369, 0.455)
Ti (0.373, 0.040, 0.829)
Ti (0.897, 0.427, 0.540)
Ti (0.086, 0.430, 0.801)
Ti (0.072, 0.872, 0.636)
Ti (0.166, 0.187, 0.027)
Ti (0.305, 0.654, 0.811)
Ti (0.875, 0.300, 0.257)
Ti (0.299, 0.230, 0.607)
Ti (0.604, 0.222, 0.736)
Ti (0.684, 0.560, 0.373)
Ti (0.923, 0.046, 0.168)
Ti (0.830, 0.767, 0.486)
Ti (0.859, 0.014, 0.840)
Ti (0.318, 0.900, 0.395)
Ti (0.105, 0.904, 0.960)
Ti (0.660, 0.249, 0.028)
Ti (0.265, 0.641, 0.285)
Ti (0.163, 0.614, 0.568)
Ti (0.875, 0.514, 0.971)
Ti (0.688, 0.761, 0.950)
O (0.009, 0.874, 0.825)
O (0.287, 0.804, 0.257)
O (0.795, 0.949, 0.200)
O (0.499, 0.266, 0.321)
O (0.476, 0.893, 0.797)
O (0.307, 0.397, 0.491)
O (0.792, 0.221, 0.135)
O (0.227, 0.539, 0.717)
O (0.645, 0.583, 0.211)
O (0.572, 0.124, 0.104)
O (0.339, 0.068, 0.667)
O (0.187, 0.210, 0.485)
O (0.774, 0.602, 0.840)
O (0.167, 0.937, 0.497)
O (0.698, 0.748, 0.372)
O (0.324, 0.129, 0.064)
O (0.937, 0.373, 0.865)
O (0.059, 0.924, 0.135)
O (0.861, 0.922, 0.468)
O (0.746, 0.902, 0.866)
O (0.533, 0.529, 0.456)
O (0.374, 0.037, 0.311)
O (0.007, 0.735, 0.567)
O (0.235, 0.778, 0.931)
O (0.697, 0.113, 0.611)
O (0.032, 0.565, 0.913)
O (0.447, 0.856, 0.504)
O (0.205, 0.288, 0.747)
O (0.269, 0.312, 0.230)
O (0.557, 0.637, 0.953)
O (0.915, 0.462, 0.152)
O (0.937, 0.054, 0.980)
O (0.183, 0.351, 0.987)
O (0.030, 0.472, 0.628)
O (0.208, 0.764, 0.682)
O (0.867, 0.576, 0.426)
O (0.709, 0.423, 0.018)
O (0.040, 0.191, 0.157)
O (0.480, 0.159, 0.838)
O (0.886, 0.138, 0.343)
O (0.745, 0.384, 0.364)
O (0.484, 0.268, 0.600)
O (0.930, 0.718, 0.250)
O (0.597, 0.388, 0.789)
O (0.001, 0.370, 0.365)
O (0.729, 0.172, 0.868)
O (0.945, 0.030, 0.668)
O (0.193, 0.043, 0.903)
O (0.822, 0.700, 0.041)
O (0.397, 0.543, 0.199)
O (0.291, 0.668, 0.459)
O (0.736, 0.502, 0.613)
O (0.130, 0.548, 0.393)
O (0.334, 0.534, 0.933)
O (0.484, 0.361, 0.059)
O (0.697, 0.777, 0.622)
O (0.883, 0.264, 0.573)
O (0.614, 0.827, 0.103)
O (0.479, 0.652, 0.716)
O (0.164, 0.561, 0.160)



Entry 11:
Entry from the Materials Project: an optimized crystal structure of TiO2 (GGA-PBE).

Calculated values
As for the space group: No. 62. As for the MP2020-corrected energy: -9.422 eV per atom. The formation energy is -3.49 eV per atom. The theoretical density comes out at 2.59 g/cm³. For the size of the total moment, the calculation gives 0.000 μB/f.u. The calculation puts the electronic total energy at -8.964 eV/atom.

Lattice parameters (Å, degrees): 3.773 5.987 9.073 90.00 90.00 90.00
Positions (direct):
Ti (0.250, 0.988, 0.364)
Ti (0.750, 0.012, 0.636)
Ti (0.250, 0.488, 0.136)
Ti (0.750, 0.512, 0.864)
O (0.750, 0.962, 0.418)
O (0.250, 0.236, 0.255)
O (0.750, 0.764, 0.745)
O (0.250, 0.038, 0.582)
O (0.750, 0.462, 0.082)
O (0.250, 0.736, 0.245)
O (0.750, 0.264, 0.755)
O (0.250, 0.538, 0.918)



Entry 12:
Entry from the Materials Project: an optimized crystal structure of Ti5O7 (GGA-PBE).

Calculated values
As for the space group: No. 63. As for the MP2020-corrected energy: -9.259 eV per atom. The formation energy is -3.08 eV per atom. The theoretical density comes out at 4.21 g/cm³. For the size of the total moment, the calculation gives 0.068 μB/f.u. The calculation puts the electronic total energy at -8.858 eV/atom.

Lattice parameters (Å, degrees): 5.166 5.166 19.215 90.00 90.00 147.28
Positions (direct):
Ti (0.726, 0.274, 0.571)
Ti (0.000, 0.000, 0.500)
Ti (0.000, 0.000, 0.000)
Ti (0.274, 0.726, 0.429)
Ti (0.274, 0.726, 0.071)
Ti (0.726, 0.274, 0.929)
Ti (0.521, 0.479, 0.160)
Ti (0.479, 0.521, 0.840)
Ti (0.479, 0.521, 0.660)
Ti (0.521, 0.479, 0.340)
O (0.360, 0.640, 0.969)
O (0.640, 0.360, 0.031)
O (0.640, 0.360, 0.469)
O (0.360, 0.640, 0.531)
O (0.844, 0.156, 0.846)
O (0.156, 0.844, 0.154)
O (0.156, 0.844, 0.346)
O (0.844, 0.156, 0.654)
O (0.088, 0.912, 0.894)
O (0.912, 0.088, 0.106)
O (0.912, 0.088, 0.394)
O (0.088, 0.912, 0.606)
O (0.534, 0.466, 0.750)
O (0.466, 0.534, 0.250)